*a*
Compound: MgTi2Si4O12
Source: the Materials Project database
Functional: PBE
Structure: relaxed

a = 6.636 Å, b = 6.636 Å, c = 5.356 Å
α = 74.91°, β = 105.09°, γ = 97.11°
Sites, in units of the cell vectors:
Mg 0.723 0.723 0.750
Ti 0.101 0.101 0.750
Ti 0.919 0.919 0.250
Si 0.206 0.611 0.778
Si 0.387 0.792 0.271
Si 0.611 0.206 0.722
Si 0.792 0.387 0.229
O 0.024 0.786 0.666
O 0.203 0.958 0.154
O 0.102 0.379 0.789
O 0.373 0.666 0.581
O 0.633 0.870 0.343
O 0.350 0.638 0.067
O 0.666 0.373 0.919
O 0.379 0.102 0.711
O 0.638 0.350 0.433
O 0.870 0.633 0.157
O 0.786 0.024 0.834
O 0.958 0.203 0.346

Calculated values
Space group   C2



*b*
Compound: MgTi2Si4O12
Source: the Materials Project database
Functional: PBE
Structure: relaxed

a = 6.884 Å, b = 6.884 Å, c = 5.300 Å
α = 75.95°, β = 104.05°, γ = 100.21°
Sites, in units of the cell vectors:
Mg 0.582 0.582 0.250
Ti 0.115 0.115 0.750
Ti 0.914 0.914 0.250
Si 0.183 0.631 0.743
Si 0.362 0.829 0.251
Si 0.631 0.183 0.757
Si 0.829 0.362 0.249
O 0.035 0.811 0.644
O 0.194 0.982 0.145
O 0.102 0.394 0.772
O 0.344 0.682 0.542
O 0.606 0.872 0.278
O 0.314 0.657 0.049
O 0.682 0.344 0.958
O 0.394 0.102 0.728
O 0.657 0.314 0.451
O 0.872 0.606 0.222
O 0.811 0.035 0.856
O 0.982 0.194 0.355

Calculated values
Space group   C2



Most favorable structure: *a*. The second most favorable one is 13.1 kJ/mol of atoms above it.